An optimized crystal structure of ErTlW2O8. Source: the Materials Project database, functional r²SCAN.

Cell: 7.465 7.465 7.479 Å, 62.21 62.21 88.49°
Atoms (fractional coordinates):
Er  0.773  0.227  0.750
Er  0.227  0.773  0.250
Tl  0.207  0.793  0.750
Tl  0.793  0.207  0.250
W  0.699  0.695  0.770
W  0.301  0.305  0.230
W  0.305  0.301  0.730
W  0.695  0.699  0.270
O  0.618  0.762  0.557
O  0.382  0.238  0.443
O  0.238  0.382  0.943
O  0.762  0.618  0.057
O  0.378  0.063  0.877
O  0.622  0.937  0.123
O  0.937  0.622  0.623
O  0.063  0.378  0.377
O  0.587  0.369  0.967
O  0.413  0.631  0.033
O  0.631  0.413  0.533
O  0.369  0.587  0.467
O  0.787  0.957  0.692
O  0.213  0.043  0.308
O  0.043  0.213  0.808
O  0.957  0.787  0.192

E_form (eV/atom): -2.58
Electronic total energy (eV/atom): -22.3863
Calculated volume (Å³ per cell): 316.24
Magnetization (μB per formula unit): 0.00

=====

An optimized crystal structure of Er4Zr3O12. Source: the Materials Project database, functional r²SCAN.

Cell: 6.317 6.382 12.675 Å, 99.31 99.29 99.40°
Atoms (fractional coordinates):
Er  0.389  0.865  0.098
Er  0.310  0.610  0.818
Er  0.298  0.610  0.319
Er  0.858  0.692  0.447
Er  0.690  0.390  0.182
Er  0.142  0.308  0.553
Er  0.611  0.135  0.902
Er  0.702  0.390  0.681
Zr  0.392  0.857  0.594
Zr  0.008  0.006  0.752
Zr  0.854  0.676  0.947
Zr  0.146  0.324  0.053
Zr  0.992  0.994  0.248
Zr  0.608  0.143  0.406
O  0.321  0.942  0.785
O  0.035  0.895  0.089
O  0.317  0.960  0.295
O  0.588  0.820  0.962
O  0.074  0.921  0.593
O  0.924  0.693  0.791
O  0.567  0.831  0.462
O  0.174  0.576  0.965
O  0.925  0.681  0.279
O  0.410  0.568  0.158
O  0.185  0.592  0.470
O  0.590  0.432  0.842
O  0.429  0.583  0.658
O  0.826  0.424  0.035
O  0.571  0.417  0.342
O  0.076  0.307  0.209
O  0.815  0.408  0.530
O  0.412  0.180  0.038
O  0.075  0.319  0.721
O  0.965  0.105  0.911
O  0.433  0.169  0.538
O  0.679  0.058  0.215
O  0.926  0.079  0.407
O  0.683  0.040  0.705

E_form (eV/atom): -3.91
Electronic total energy (eV/atom): -18.4178
Calculated volume (Å³ per cell): 488.18
Energy relative to the lowest polymorph listed for this composition (eV/atom): 0.004
Magnetization (μB per formula unit): 0.00

=====

An optimized crystal structure of Er4Zr3O12. Source: the Materials Project database, functional r²SCAN.

Cell: 6.284 6.320 6.472 Å, 99.81 98.75 99.53°
Atoms (fractional coordinates):
Er  0.389  0.699  0.865
Er  0.695  0.865  0.390
Er  0.611  0.301  0.135
Er  0.305  0.135  0.610
Zr  0.000  0.000  0.000
Zr  0.850  0.396  0.673
Zr  0.150  0.604  0.327
O  0.030  0.677  0.889
O  0.684  0.931  0.060
O  0.920  0.082  0.691
O  0.970  0.323  0.111
O  0.316  0.069  0.940
O  0.080  0.918  0.309
O  0.586  0.187  0.433
O  0.173  0.429  0.574
O  0.415  0.582  0.179
O  0.414  0.813  0.567
O  0.827  0.571  0.426
O  0.585  0.418  0.821

E_form (eV/atom): -3.92
Electronic total energy (eV/atom): -18.4221
Calculated volume (Å³ per cell): 245.45
Energy relative to the lowest polymorph listed for this composition (eV/atom): 0.000
Magnetization (μB per formula unit): 0.00

=====

An optimized crystal structure of Er2OsPd. Source: the Materials Project database, functional r²SCAN.

Cell: 4.804 4.803 4.803 Å, 59.99 60.00 60.00°
Atoms (fractional coordinates):
Er  0.000  0.000  0.000
Er  0.500  0.500  0.500
Os  0.250  0.250  0.250
Pd  0.750  0.750  0.750

E_form (eV/atom): -0.66
Electronic total energy (eV/atom): -36.6132
Calculated volume (Å³ per cell): 78.36
Magnetization (μB per formula unit): 0.00

=====

An optimized crystal structure of ErTaOs2. Source: the Materials Project database, functional r²SCAN.

Cell: 4.601 4.600 4.600 Å, 59.99 59.99 59.98°
Atoms (fractional coordinates):
Er  0.250  0.250  0.250
Ta  0.750  0.750  0.750
Os  0.000  0.000  0.000
Os  0.500  0.500  0.500

E_form (eV/atom): -0.39
Electronic total energy (eV/atom): -47.5086
Calculated volume (Å³ per cell): 68.82
Magnetization (μB per formula unit): 0.00

=====

An optimized crystal structure of Er3P6Pd20. Source: the Materials Project database, functional r²SCAN.

Cell: 8.601 8.601 8.601 Å, 60.00 60.00 60.00°
Atoms (fractional coordinates):
Er  0.000  0.000  0.000
Er  0.750  0.750  0.750
Er  0.250  0.250  0.250
P  0.737  0.263  0.263
P  0.737  0.737  0.263
P  0.737  0.263  0.737
P  0.263  0.737  0.263
P  0.263  0.737  0.737
P  0.263  0.263  0.737
Pd  0.345  0.000  0.000
Pd  0.000  0.655  0.345
Pd  0.345  0.000  0.655
Pd  0.000  0.655  0.000
Pd  0.655  0.345  0.000
Pd  0.616  0.616  0.152
Pd  0.384  0.848  0.384
Pd  0.152  0.616  0.616
Pd  0.655  0.000  0.345
Pd  0.000  0.345  0.655
Pd  0.655  0.000  0.000
Pd  0.000  0.000  0.345
Pd  0.616  0.152  0.616
Pd  0.345  0.655  0.000
Pd  0.384  0.384  0.384
Pd  0.616  0.616  0.616
Pd  0.384  0.384  0.848
Pd  0.000  0.000  0.655
Pd  0.848  0.384  0.384
Pd  0.000  0.345  0.000

E_form (eV/atom): -0.76
Electronic total energy (eV/atom): -21.9701
Calculated volume (Å³ per cell): 449.85
Magnetization (μB per formula unit): 0.00

=====

An optimized crystal structure of Er2P7Rh12. Source: the Materials Project database, functional r²SCAN.

Cell: 9.515 9.515 3.844 Å, 90.00 90.00 120.00°
Atoms (fractional coordinates):
Er  0.333  0.667  0.750
Er  0.667  0.333  0.250
P  0.000  0.000  0.500
P  0.406  0.285  0.755
P  0.714  0.121  0.755
P  0.879  0.594  0.755
P  0.594  0.714  0.245
P  0.285  0.879  0.245
P  0.121  0.406  0.245
Rh  0.451  0.069  0.750
Rh  0.931  0.382  0.750
Rh  0.618  0.549  0.750
Rh  0.549  0.931  0.250
Rh  0.069  0.618  0.250
Rh  0.382  0.451  0.250
Rh  0.152  0.261  0.750
Rh  0.739  0.891  0.750
Rh  0.109  0.848  0.750
Rh  0.848  0.739  0.250
Rh  0.261  0.109  0.250
Rh  0.891  0.152  0.250

E_form (eV/atom): -1.00
Electronic total energy (eV/atom): -21.0276
Calculated volume (Å³ per cell): 301.38
Magnetization (μB per formula unit): 0.00

=====

An optimized crystal structure of ErP2Ru2. Source: the Materials Project database, functional r²SCAN.

Cell: 4.028 4.028 5.511 Å, 111.43 111.43 90.00°
Atoms (fractional coordinates):
Er  0.000  0.000  0.000
P  0.624  0.624  0.249
P  0.376  0.376  0.751
Ru  0.750  0.250  0.500
Ru  0.250  0.750  0.500

E_form (eV/atom): -1.11
Electronic total energy (eV/atom): -21.6698
Calculated volume (Å³ per cell): 76.54
Magnetization (μB per formula unit): 0.00

=====

Question: Number 5 is which compound?
Answer: ErTaOs2